VASP calculation (meta-GGA r2SCAN) on Ta2H after structural relaxation.

The density comes out at 15.52 g/cm3. For the total energy, the calculation gives -1.239 hartree per atom. The value obtained for the energy above the most stable polymorph in this dataset is 0 meV/atom. As for the energy relative to the elements: -0.177 eV/atom.

The structure belongs to space group C222 (No. 21); the cell edges are 3.441, 4.743 and 4.759 Å and the angles 90.00°, 90.00° and 90.00°. The distinct sites, in fractional coordinates, are Ta at (0.250, 0.250, 0.235) and H at (0.000, 0.500, 0.500).